The following is a PBE calculation of a geometry-optimized RbTe3Mo3 structure, from the Materials Project.

density: 6.2 g/cm3
formation enthalpy at 0 K: -0.49 eV per atom
space-group type: P6_3/m

a = 10.0183 Å, b = 10.0183 Å, c = 4.6285 Å
α = 90.00°, β = 90.00°, γ = 120.00°
Atoms (fractional coordinates):
Rb  0.3333  0.6667  0.2500
Rb  0.6667  0.3333  0.7500
Te  0.0496  0.7009  0.7500
Te  0.2991  0.3487  0.7500
Te  0.3487  0.0496  0.2500
Te  0.6513  0.9504  0.7500
Te  0.7009  0.6513  0.2500
Te  0.9504  0.2991  0.2500
Mo  0.0237  0.8597  0.2500
Mo  0.1403  0.1640  0.2500
Mo  0.1640  0.0237  0.7500
Mo  0.8360  0.9763  0.2500
Mo  0.8597  0.8360  0.7500
Mo  0.9763  0.1403  0.7500


The following is a PBE calculation of a geometry-optimized Sm2O3 structure, from the Materials Project.

density: 7.6 g/cm3
formation enthalpy at 0 K: -3.83 eV per atom
space-group type: C2/m
corrected total energy (MP2020 scheme): -8.69 eV/atom

a = 7.4228 Å, b = 7.4228 Å, c = 8.9173 Å
α = 99.94°, β = 99.94°, γ = 28.31°
Atoms (fractional coordinates):
Sm  0.0326  0.0326  0.3128
Sm  0.3088  0.3088  0.3623
Sm  0.3653  0.3653  0.0112
Sm  0.6347  0.6347  0.9888
Sm  0.6912  0.6912  0.6377
Sm  0.9674  0.9674  0.6872
O  0.1286  0.1286  0.7835
O  0.1751  0.1751  0.4716
O  0.2043  0.2043  0.1244
O  0.4725  0.4725  0.8437
O  0.5000  0.5000  0.5000
O  0.5275  0.5275  0.1563
O  0.7957  0.7957  0.8756
O  0.8249  0.8249  0.5284
O  0.8714  0.8714  0.2165


The following is a PBE calculation of a geometry-optimized Ba11Sb10 structure, from the Materials Project.

density: 5.3 g/cm3
formation enthalpy at 0 K: -1.10 eV per atom
space-group type: Immm
corrected total energy (MP2020 scheme): -4.07 eV/atom

a = 13.5769 Å, b = 13.5769 Å, c = 13.5769 Å
α = 123.54°, β = 120.98°, γ = 86.14°
Atoms (fractional coordinates):
Ba  0.0610  0.3132  0.7478
Ba  0.1002  0.4283  0.3281
Ba  0.1002  0.7721  0.6719
Ba  0.1489  0.1489  0.0000
Ba  0.2128  0.8899  0.3228
Ba  0.3041  0.0545  0.7504
Ba  0.3041  0.5537  0.2496
Ba  0.3352  0.3260  0.6613
Ba  0.3352  0.6740  0.0092
Ba  0.4329  0.1101  0.3228
Ba  0.4347  0.6868  0.7478
Ba  0.5653  0.3132  0.2522
Ba  0.5671  0.8899  0.6772
Ba  0.6648  0.3260  0.9908
Ba  0.6648  0.6740  0.3387
Ba  0.6959  0.4463  0.7504
Ba  0.6959  0.9455  0.2496
Ba  0.7872  0.1101  0.6772
Ba  0.8511  0.8511  0.0000
Ba  0.8998  0.2279  0.3281
Ba  0.8998  0.5717  0.6719
Ba  0.9390  0.6868  0.2522
Sb  0.0261  0.0292  0.4244
Sb  0.0261  0.6017  0.9969
Sb  0.1299  0.1095  0.2394
Sb  0.1299  0.8905  0.0204
Sb  0.1512  0.5000  0.6512
Sb  0.2449  0.7449  0.5000
Sb  0.3858  0.3858  0.0000
Sb  0.3952  0.3983  0.4244
Sb  0.3952  0.9708  0.9969
Sb  0.5000  0.1148  0.6148
Sb  0.5000  0.8852  0.3852
Sb  0.6048  0.0292  0.0031
Sb  0.6048  0.6017  0.5756
Sb  0.6142  0.6142  0.0000
Sb  0.7551  0.2551  0.5000
Sb  0.8488  0.5000  0.3488
Sb  0.8701  0.1095  0.9796
Sb  0.8701  0.8905  0.7606
Sb  0.9739  0.3983  0.0031
Sb  0.9739  0.9708  0.5756


The following is a PBE calculation of a geometry-optimized LaNiAs structure, from the Materials Project.

density: 6.0 g/cm3
formation enthalpy at 0 K: -0.87 eV per atom
space-group type: P-6m2

a = 4.4588 Å, b = 4.4588 Å, c = 4.4033 Å
α = 90.00°, β = 90.00°, γ = 120.00°
Atoms (fractional coordinates):
La  0.0000  0.0000  0.0000
Ni  0.3333  0.6667  0.5000
As  0.6667  0.3333  0.5000


The following is a PBE calculation of a geometry-optimized HfMg15 structure, from the Materials Project.

density: 2.5 g/cm3
formation enthalpy at 0 K: 0.04 eV per atom
space-group type: P-6m2

a = 6.4132 Å, b = 6.4132 Å, c = 10.1758 Å
α = 90.00°, β = 90.00°, γ = 120.00°
Atoms (fractional coordinates):
Hf  0.0000  0.0000  0.0000
Mg  0.0000  0.0000  0.5000
Mg  0.0003  0.5002  0.5000
Mg  0.3292  0.1646  0.2482
Mg  0.3292  0.1646  0.7518
Mg  0.3333  0.6667  0.2487
Mg  0.3333  0.6667  0.7513
Mg  0.4998  0.9997  0.5000
Mg  0.4998  0.5002  0.5000
Mg  0.5017  0.0034  0.0000
Mg  0.5017  0.4983  0.0000
Mg  0.8354  0.1646  0.2482
Mg  0.8354  0.1646  0.7518
Mg  0.8354  0.6708  0.2482
Mg  0.8354  0.6708  0.7518
Mg  0.9966  0.4983  0.0000


The following is a PBE calculation of a geometry-optimized Mg149Tc structure, from the Materials Project.

density: 1.8 g/cm3
formation enthalpy at 0 K: -0.02 eV per atom
space-group type: P-6m2

a = 15.9206 Å, b = 15.9206 Å, c = 15.6332 Å
α = 90.00°, β = 90.00°, γ = 120.00°
Atoms (fractional coordinates):
Mg  0.0000  0.0000  0.0000
Mg  0.0000  0.0000  0.3333
Mg  0.0000  0.0000  0.6667
Mg  0.0001  0.1998  0.0000
Mg  0.9999  0.1996  0.3332
Mg  0.9999  0.1996  0.6668
Mg  0.0001  0.8003  0.0000
Mg  0.9999  0.8003  0.3332
Mg  0.9999  0.8003  0.6668
Mg  0.0007  0.4003  0.0000
Mg  0.0007  0.6004  0.0000
Mg  0.0022  0.4017  0.3345
Mg  0.0022  0.4017  0.6656
Mg  0.0022  0.6004  0.3345
Mg  0.0022  0.6004  0.6656
Mg  0.1334  0.2668  0.1663
Mg  0.1334  0.2668  0.8337
Mg  0.1334  0.8666  0.1663
Mg  0.1334  0.8666  0.8337
Mg  0.1337  0.0668  0.1665
Mg  0.1339  0.0669  0.5000
Mg  0.1337  0.0668  0.8335
Mg  0.1342  0.2684  0.5000
Mg  0.1343  0.4680  0.1692
Mg  0.1343  0.4680  0.8308
Mg  0.1343  0.6663  0.1692
Mg  0.1343  0.6663  0.8308
Mg  0.1342  0.8658  0.5000
Mg  0.1450  0.4769  0.5000
Mg  0.1450  0.6681  0.5000
Mg  0.1989  0.3978  0.3331
Mg  0.1989  0.3978  0.6669
Mg  0.1989  0.8011  0.3331
Mg  0.1989  0.8011  0.6669
Mg  0.1997  0.9999  0.0000
Mg  0.1997  0.0001  0.3332
Mg  0.1997  0.0001  0.6668
Mg  0.1997  0.1998  0.0000
Mg  0.1997  0.1996  0.3332
Mg  0.1997  0.1996  0.6668
Mg  0.2003  0.4006  0.0000
Mg  0.2002  0.6001  0.0000
Mg  0.2003  0.7997  0.0000
Mg  0.2070  0.6035  0.3432
Mg  0.2070  0.6035  0.6568
Mg  0.3319  0.4769  0.5000
Mg  0.3319  0.8550  0.5000
Mg  0.3329  0.0634  0.5000
Mg  0.3335  0.0661  0.1673
Mg  0.3335  0.0661  0.8327
Mg  0.3335  0.2674  0.1673
Mg  0.3335  0.2674  0.8327
Mg  0.3329  0.2695  0.5000
Mg  0.3333  0.6667  0.1677
Mg  0.3333  0.6667  0.8323
Mg  0.3337  0.4680  0.1692
Mg  0.3337  0.4680  0.8308
Mg  0.3337  0.8657  0.1692
Mg  0.3337  0.8657  0.8308
Mg  0.3965  0.6035  0.3432
Mg  0.3965  0.6035  0.6568
Mg  0.3965  0.7930  0.3432
Mg  0.3965  0.7930  0.6568
Mg  0.3993  0.1996  0.0000
Mg  0.3999  0.2000  0.3340
Mg  0.3999  0.2000  0.6660
Mg  0.3996  0.4003  0.0000
Mg  0.3996  0.4017  0.3345
Mg  0.3996  0.4017  0.6656
Mg  0.3999  0.6001  0.0000
Mg  0.3999  0.7998  0.0000
Mg  0.3996  0.9978  0.3345
Mg  0.3996  0.9978  0.6656
Mg  0.3996  0.9993  0.0000
Mg  0.5231  0.6681  0.5000
Mg  0.5231  0.8550  0.5000
Mg  0.5318  0.0636  0.5000
Mg  0.5318  0.4682  0.5000
Mg  0.5320  0.6663  0.1692
Mg  0.5320  0.6663  0.8308
Mg  0.5320  0.8657  0.1692
Mg  0.5320  0.8657  0.8308
Mg  0.5334  0.0667  0.1668
Mg  0.5334  0.0667  0.8332
Mg  0.5329  0.2665  0.5000
Mg  0.5334  0.2667  0.1666
Mg  0.5334  0.2667  0.8334
Mg  0.5334  0.4666  0.1668
Mg  0.5334  0.4666  0.8332
Mg  0.5983  0.6004  0.3345
Mg  0.5983  0.6004  0.6656
Mg  0.5983  0.9978  0.3345
Mg  0.5983  0.9978  0.6656
Mg  0.5994  0.7997  0.0000
Mg  0.5998  0.1995  0.0000
Mg  0.5998  0.1996  0.3337
Mg  0.5998  0.1996  0.6663
Mg  0.5998  0.4002  0.0000
Mg  0.5998  0.4002  0.3337
Mg  0.5998  0.4002  0.6663
Mg  0.5997  0.6004  0.0000
Mg  0.5997  0.9993  0.0000
Mg  0.6022  0.8011  0.3331
Mg  0.6022  0.8011  0.6669
Mg  0.7305  0.0634  0.5000
Mg  0.7305  0.6671  0.5000
Mg  0.7316  0.8658  0.5000
Mg  0.7326  0.0661  0.1673
Mg  0.7326  0.0661  0.8327
Mg  0.7333  0.2667  0.1666
Mg  0.7333  0.2667  0.8334
Mg  0.7333  0.4666  0.1666
Mg  0.7333  0.4666  0.8334
Mg  0.7326  0.6665  0.1673
Mg  0.7326  0.6665  0.8327
Mg  0.7332  0.8666  0.1663
Mg  0.7332  0.8666  0.8337
Mg  0.7335  0.2665  0.5000
Mg  0.7335  0.4671  0.5000
Mg  0.8002  0.9999  0.0000
Mg  0.8004  0.0001  0.3332
Mg  0.8004  0.0001  0.6668
Mg  0.8004  0.1996  0.0000
Mg  0.8000  0.2000  0.3340
Mg  0.8000  0.2000  0.6660
Mg  0.8004  0.4002  0.3337
Mg  0.8004  0.4002  0.6663
Mg  0.8000  0.6001  0.3340
Mg  0.8000  0.6001  0.6660
Mg  0.8004  0.6007  0.0000
Mg  0.8002  0.8003  0.0000
Mg  0.8004  0.8003  0.3332
Mg  0.8004  0.8003  0.6668
Mg  0.8005  0.4002  0.0000
Mg  0.9332  0.0668  0.1665
Mg  0.9331  0.0669  0.5000
Mg  0.9332  0.0668  0.8335
Mg  0.9333  0.4666  0.1668
Mg  0.9333  0.4666  0.8332
Mg  0.9332  0.8663  0.1665
Mg  0.9331  0.8661  0.5000
Mg  0.9332  0.8663  0.8335
Mg  0.9339  0.2674  0.1673
Mg  0.9339  0.2674  0.8327
Mg  0.9339  0.6665  0.1673
Mg  0.9339  0.6665  0.8327
Mg  0.9364  0.4682  0.5000
Mg  0.9366  0.2695  0.5000
Mg  0.9366  0.6671  0.5000
Tc  0.3333  0.6667  0.5000